# 1
## Na10Ta4In4Si9S3O48 (PBE-GGA)

Data for an optimized crystal structure of Na10Ta4In4Si9S3O48.

a b c (Å): 18.2259 9.0730 22.7634
angles (deg): 90.04 89.80 119.79
Closest atoms and distances in Å follow each position.
Element x y z (fractional)
O  0.0155  0.8351  0.6945  1 Si 1.71
S  0.6448  0.2971  0.7494  4 O 1.46-1.50
O  0.4096  0.0305  0.8071  1 Si 1.58
O  0.8295  0.5118  0.2474  1 Si 1.62
O  0.4218  0.8071  0.5904  1 Si 1.72, 1 Ta 1.92
O  0.8950  0.9799  0.4113  1 S 1.48
O  0.9239  0.8122  0.5911  1 Si 1.69
Si  0.0200  0.6653  0.4192  4 O 1.61-1.70
Si  0.5191  0.6653  0.4186  4 O 1.60-1.70
O  0.7529  0.6503  0.5765  1 Si 1.59
Si  0.9959  0.2868  0.2515  4 O 1.58-1.72
Na  0.0206  0.3521  0.0807  4 O 2.44-2.53
O  0.7299  0.3156  0.7443  1 S 1.48
O  0.4848  0.8167  0.0909  1 Si 1.68
Ta  0.8296  0.3409  0.4779  4 O 1.92-1.98
O  0.3135  0.5097  0.6420  1 Si 1.57
Na  0.3518  0.6663  0.4106  4 O 2.31-2.54
Ta  0.1611  0.6464  0.3129  4 O 1.90-2.00
Si  0.4795  0.6280  0.0817  4 O 1.59-1.68
Ta  0.3338  0.3386  0.4815  5 O 1.93-2.03
O  0.5860  0.1807  0.4119  1 Si 1.59
Si  0.4795  0.3307  0.5827  4 O 1.59-1.68
S  0.3104  0.6596  0.9165  4 O 1.47-1.50
Si  0.4957  0.2866  0.2516  4 O 1.58-1.73
O  0.5162  0.1993  0.1921  1 Si 1.70
O  0.0740  0.5058  0.8621  1 Si 1.70
O  0.9187  0.5158  0.7454  1 Si 1.59
O  0.1699  0.8515  0.5778  1 Si 1.64
Ta  0.4946  0.0008  0.1454  5 O 1.94-2.05
O  0.7576  0.7010  0.2587  1 Si 1.70
O  0.1818  0.4962  0.3586  1 Si 1.73, 1 Ta 1.90
Si  0.8522  0.7082  0.2533  4 O 1.60-1.71
O  0.6080  0.1911  0.8015  1 S 1.46
S  0.3105  0.9624  0.4159  4 O 1.47-1.49
O  0.2566  0.6436  0.8652  1 S 1.49
Na  0.3420  0.3317  0.8277  3 O 2.38-2.58
Na  0.6850  0.3629  0.2437  4 O 2.29-2.48
Na  0.1666  0.6731  0.1624  6 O 2.50-2.70
In  0.9987  0.0067  0.8514  5 O 2.02-2.17
Si  0.6887  0.0430  0.5861  4 O 1.60-1.70
In  0.5010  0.9982  0.3519  5 O 2.02-2.17
O  0.0160  0.1993  0.1919  1 Si 1.70
O  0.5759  0.6635  0.0786  1 Si 1.62
Na  0.6842  0.0059  0.7434  4 O 2.30-2.50
O  0.5690  0.4452  0.9790  1 Si 1.61
O  0.4021  0.9747  0.6911  1 Si 1.71
Na  0.5206  0.3522  0.0806  4 O 2.44-2.53
O  0.9256  0.4826  0.4246  1 Si 1.70
O  0.5884  0.6982  0.7572  1 Si 1.73, 1 Ta 1.92
O  0.9046  0.8325  0.1943  1 Si 1.71
O  0.4225  0.0360  0.0915  1 Si 1.68
O  0.7568  0.8794  0.3637  1 S 1.49
S  0.6449  0.9930  0.2491  4 O 1.46-1.51
O  0.7581  0.8167  0.7581  1 Si 1.70
O  0.6748  0.4931  0.0774  1 Si 1.62
O  0.0893  0.6994  0.7568  1 Si 1.71
Na  0.0138  0.0213  0.4936  2 O 2.31-2.53
O  0.0747  0.6469  0.3624  1 Si 1.69
O  0.8526  0.1711  0.0267  1 Si 1.69
O  0.8187  0.5072  0.6391  1 Si 1.58
O  0.5928  0.2172  0.6955  1 S 1.50
O  0.9420  0.3567  0.6359  1 S 1.46
O  0.2289  0.1449  0.2432  1 S 1.47
Na  0.5116  0.0106  0.4928  2 O 2.35-2.45
Na  0.9896  0.6763  0.9148  4 O 2.38-2.55
O  0.6075  0.0218  0.3014  1 S 1.46
Na  0.3260  0.9713  0.5856  3 O 2.35-2.52
Si  0.1658  0.3655  0.4185  4 O 1.59-1.73
Na  0.3449  0.3400  0.3293  3 O 2.35-2.56
O  0.5940  0.1523  0.0915  1 Si 1.68
Na  0.6667  0.6731  0.1619  6 O 2.49-2.71
O  0.4249  0.4860  0.4232  1 Si 1.68
O  0.4163  0.3140  0.2474  1 Si 1.59
Si  0.9964  0.7028  0.7531  4 O 1.59-1.71
O  0.4976  0.8181  0.4125  1 Si 1.62
O  0.2573  0.7008  0.2583  1 Si 1.70
Na  0.1743  0.6602  0.6633  5 O 2.44-2.71
In  0.4989  0.0071  0.8512  5 O 2.02-2.17
O  0.1562  0.4598  0.4744  1 Si 1.59
O  0.8183  0.1335  0.4230  1 S 1.50
O  0.4165  0.5393  0.0232  1 Si 1.68
Na  0.1854  0.0080  0.7435  4 O 2.26-2.47
Si  0.6881  0.3303  0.0853  4 O 1.61-1.68
O  0.7389  0.3001  0.0291  1 Si 1.68
O  0.4420  0.5064  0.1372  1 Si 1.59
O  0.4049  0.7841  0.3117  1 Si 1.59
O  0.9902  0.7899  0.8121  1 Si 1.59
Si  0.6632  0.3684  0.4183  4 O 1.59-1.72
O  0.0859  0.1798  0.4120  1 Si 1.60
Si  0.9796  0.6283  0.0816  4 O 1.59-1.68
Na  0.6532  0.9620  0.0804  4 O 2.35-2.58
O  0.7556  0.1549  0.9232  1 Si 1.66
O  0.0038  0.1813  0.9129  1 Si 1.60
O  0.3169  0.1322  0.4194  1 S 1.49
O  0.9225  0.0357  0.0916  1 Si 1.68
Si  0.5196  0.3703  0.9181  4 O 1.60-1.70
Si  0.6677  0.9679  0.9179  4 O 1.61-1.71
O  0.5717  0.6988  0.4780  1 Si 1.60
In  0.8394  0.3422  0.1846  5 O 2.03-2.17
O  0.2407  0.1129  0.6440  1 Si 1.61
O  0.0907  0.0304  0.5920  1 Si 1.68
O  0.5742  0.5061  0.8623  1 Si 1.70
O  0.0699  0.6948  0.4799  1 Si 1.61
O  0.0881  0.4789  0.2570  1 Si 1.72, 1 Ta 1.92
Na  0.8410  0.3297  0.8292  5 O 2.46-2.74
Na  0.8462  0.3388  0.3267  2 O 2.29-2.51
O  0.5745  0.6478  0.3614  1 Si 1.70
O  0.2380  0.1697  0.5275  1 Si 1.67
Si  0.3526  0.9978  0.7512  4 O 1.58-1.71
O  0.3081  0.1161  0.1399  1 Si 1.58
O  0.8523  0.5355  0.5245  1 Si 1.71
O  0.5749  0.4872  0.5782  1 Si 1.61
O  0.0628  0.4785  0.5777  1 S 1.49
O  0.3166  0.5008  0.9193  1 S 1.50
Na  0.8265  0.6851  0.0842  3 O 2.38-2.52
O  0.7576  0.8482  0.0754  1 Si 1.61
O  0.3487  0.5332  0.5255  1 Si 1.68
O  0.7735  0.8579  0.4695  1 S 1.46
O  0.6532  0.8570  0.9763  1 Si 1.61
Na  0.3264  0.6847  0.0843  3 O 2.38-2.52
O  0.3973  0.8050  0.9122  1 S 1.48
O  0.5819  0.9765  0.9112  1 Si 1.61
O  0.5152  0.8353  0.6943  1 Si 1.70
O  0.6823  0.4998  0.3598  1 Si 1.70
O  0.7566  0.3653  0.4228  1 Si 1.72, 1 Ta 1.92
In  0.8357  0.3335  0.6860  6 O 2.05-2.28
O  0.5920  0.9689  0.1952  1 S 1.51
O  0.0918  0.9692  0.1950  1 S 1.51
O  0.4280  0.3754  0.9224  1 Si 1.69
O  0.1510  0.4657  0.7552  1 S 1.50
O  0.1085  0.1911  0.8022  1 S 1.47
Si  0.1881  0.3303  0.0852  4 O 1.61-1.68
Si  0.0194  0.3701  0.9181  4 O 1.60-1.70
O  0.1808  0.8656  0.8591  1 Si 1.71, 1 Ta 1.90
O  0.7571  0.6437  0.8652  1 S 1.49
O  0.1523  0.8366  0.2545  1 S 1.49
Na  0.5190  0.6871  0.5808  4 O 2.37-2.51
Ta  0.9954  0.9856  0.6469  4 O 1.91-2.01
O  0.8080  0.1161  0.1399  1 Si 1.59
O  0.9921  0.1828  0.3080  1 Si 1.58
O  0.8297  0.1479  0.7457  1 Si 1.62
S  0.8107  0.6599  0.9165  4 O 1.48-1.51
O  0.7417  0.1760  0.5292  1 Si 1.70
O  0.3948  0.9784  0.4112  1 S 1.47
O  0.2408  0.3659  0.1450  1 Si 1.61
O  0.2578  0.8147  0.7583  1 Si 1.71
Si  0.8527  0.9975  0.7515  4 O 1.58-1.70
O  0.9093  0.0314  0.8077  1 Si 1.58
O  0.2753  0.6837  0.9719  1 S 1.47
O  0.4927  0.7939  0.8124  1 Si 1.60
O  0.9280  0.3756  0.9222  1 Si 1.69
S  0.8098  0.9609  0.4166  4 O 1.46-1.50
Si  0.1678  0.9682  0.9179  4 O 1.61-1.71
Si  0.8329  0.6259  0.5842  4 O 1.58-1.71
Ta  0.8337  0.3232  0.9803  5 O 1.90-2.04
O  0.2389  0.3000  0.0289  1 Si 1.68
O  0.2576  0.8483  0.0754  1 Si 1.61
O  0.6685  0.8504  0.5795  1 Si 1.60
O  0.8977  0.8050  0.9123  1 S 1.48
O  0.9166  0.5393  0.0232  1 Si 1.68
O  0.6808  0.8661  0.8591  1 Si 1.71, 1 Ta 1.90
Na  0.8521  0.6739  0.4100  4 O 2.29-2.48
Na  0.0214  0.7019  0.5765  5 O 2.35-2.62
O  0.0759  0.6637  0.0786  1 Si 1.62
Na  0.6718  0.6713  0.6595  4 O 2.46-2.68
O  0.6526  0.8368  0.2547  1 S 1.50
O  0.0939  0.1522  0.0914  1 Si 1.68
Si  0.3283  0.6183  0.5848  4 O 1.57-1.72
O  0.2281  0.3121  0.7425  1 S 1.47
O  0.7293  0.1450  0.2434  1 S 1.47
In  0.0019  0.9994  0.3522  5 O 2.03-2.16
In  0.6646  0.6682  0.5184  6 O 2.07-2.18
O  0.4932  0.1843  0.3082  1 Si 1.58
Na  0.4896  0.6764  0.9139  4 O 2.39-2.53
Na  0.6525  0.3447  0.5806  4 O 2.34-2.54
O  0.0817  0.9756  0.9105  1 Si 1.61
O  0.7385  0.1207  0.6460  1 Si 1.60
S  0.1449  0.9928  0.2489  4 O 1.46-1.51
O  0.9244  0.3023  0.5301  1 S 1.49
Si  0.3318  0.0413  0.0848  4 O 1.58-1.68
Ta  0.6607  0.6490  0.3124  4 O 1.92-2.00
O  0.4427  0.3759  0.6389  1 Si 1.59
O  0.4156  0.5177  0.7484  1 Si 1.59
O  0.9058  0.9781  0.6929  1 Si 1.70
O  0.0690  0.4459  0.9789  1 Si 1.61
O  0.9051  0.7845  0.3122  1 Si 1.60
O  0.9863  0.1707  0.5886  1 S 1.50
O  0.7407  0.3659  0.1452  1 Si 1.61
Na  0.5084  0.0226  0.9917  2 O 2.33-2.42
O  0.4143  0.2965  0.5258  1 Si 1.68
O  0.4044  0.8326  0.1940  1 Si 1.71
Ta  0.9949  0.0009  0.1455  5 O 1.94-2.05
In  0.1639  0.6640  0.0161  6 O 2.06-2.19
O  0.2573  0.6741  0.5770  1 Si 1.62
O  0.9421  0.5067  0.1371  1 Si 1.59
Si  0.8319  0.0412  0.0848  4 O 1.59-1.69
O  0.5038  0.1813  0.9127  1 Si 1.60
In  0.1654  0.6643  0.5162  5 O 2.02-2.18
O  0.0890  0.2098  0.6965  1 S 1.51
Na  0.0082  0.0224  0.9919  2 O 2.33-2.44
In  0.3386  0.3371  0.6843  5 O 2.03-2.17
O  0.3282  0.1462  0.7462  1 Si 1.62
O  0.9969  0.8154  0.4130  1 Si 1.62
Ta  0.1632  0.6770  0.8129  4 O 1.90-1.98
Si  0.3518  0.7077  0.2530  4 O 1.59-1.71
Si  0.4950  0.7038  0.7527  4 O 1.59-1.73
O  0.5946  0.0384  0.5910  1 Si 1.70
O  0.9847  0.8166  0.0908  1 Si 1.68
O  0.9164  0.3143  0.2470  1 Si 1.59
O  0.3526  0.1710  0.0266  1 Si 1.68
Ta  0.3339  0.3233  0.9802  5 O 1.90-2.04
O  0.2573  0.3644  0.4227  1 Si 1.68
O  0.6594  0.4577  0.4773  1 Si 1.59
Na  0.1532  0.9621  0.0806  4 O 2.35-2.58
O  0.8171  0.5009  0.9195  1 S 1.51
In  0.6639  0.6639  0.0159  6 O 2.06-2.19
S  0.9776  0.3257  0.5827  4 O 1.46-1.50
O  0.4844  0.1522  0.5901  1 Si 1.67
Ta  0.6622  0.6769  0.8122  4 O 1.90-1.99
Na  0.1850  0.3622  0.2442  4 O 2.28-2.49
Ta  0.4934  0.9849  0.6439  5 O 1.92-2.05
O  0.7756  0.6838  0.9719  1 S 1.48
O  0.5885  0.4792  0.2571  1 Si 1.73, 1 Ta 1.92
O  0.1527  0.8565  0.9761  1 Si 1.61
O  0.1747  0.4929  0.0773  1 Si 1.62
In  0.3393  0.3419  0.1849  5 O 2.03-2.16
O  0.3293  0.5117  0.2470  1 Si 1.62
O  0.2558  0.8706  0.3647  1 S 1.49
O  0.2554  0.1547  0.9232  1 Si 1.66
O  0.2755  0.8661  0.4713  1 S 1.48
O  0.1073  0.0216  0.3012  1 S 1.46
S  0.1440  0.2946  0.7492  4 O 1.47-1.51
O  0.6527  0.4685  0.7562  1 S 1.50
Si  0.1860  0.0456  0.5849  4 O 1.61-1.68

Results
formation enthalpy at 0 K	-2661	meV per atom
volume	13.96	Å³/atom
crystal system	triclinic

# 2
## Na4Ta3InSi5SO24 (PBE-GGA)

Data for an optimized crystal structure of Na4Ta3InSi5SO24.

a b c (Å): 9.0005 8.9871 22.8835
angles (deg): 90.01 90.29 119.86
Closest atoms and distances in Å follow each position.
Element x y z (fractional)
O  0.5054  0.1453  0.9248  1 Si 1.63
O  0.1363  0.4979  0.8587  1 Si 1.66
Na  0.6341  0.6265  0.7472  5 O 2.43-2.62
O  0.1628  0.4677  0.9742  1 Si 1.63
O  0.1576  0.1967  0.6936  1 Si 1.65
O  0.1677  0.6920  0.4731  1 Si 1.63
O  0.7929  0.8174  0.1958  1 S 1.52
O  0.1875  0.1623  0.8066  1 Si 1.63
O  0.0377  0.8379  0.6939  1 Si 1.67
Ta  0.6604  0.3404  0.4774  5 O 1.92-2.04
S  0.2900  0.9985  0.2508  4 O 1.46-1.53
Si  0.6591  0.0412  0.0828  4 O 1.58-1.71
Si  0.6245  0.6667  0.9171  4 O 1.63-1.66
Ta  0.0019  0.9910  0.6456  5 O 1.91-2.00
O  0.3433  0.8464  0.5733  1 Si 1.65
O  0.5081  0.3646  0.4243  1 Si 1.67
O  0.5229  0.8248  0.7576  1 Si 1.66
S  0.9604  0.3341  0.5824  4 O 1.48-1.49
O  0.6209  0.1069  0.1418  1 Si 1.58
O  0.4814  0.1041  0.6435  1 Si 1.61
In  0.6570  0.3301  0.6837  6 O 2.06-2.26
O  0.5228  0.8371  0.4723  1 Si 1.65
Si  0.3310  0.3796  0.4187  4 O 1.59-1.67
Si  0.3746  0.0414  0.5831  4 O 1.61-1.66
O  0.0361  0.8364  0.4101  1 Si 1.60
O  0.4711  0.3015  0.0261  1 Si 1.63
O  0.8375  0.8198  0.5898  1 Si 1.66
O  0.8049  0.9639  0.6933  1 Si 1.65
Si  0.0424  0.3770  0.9168  4 O 1.63-1.66
Si  0.7137  0.9990  0.7499  4 O 1.62-1.66
O  0.2132  0.0190  0.3039  1 S 1.46
S  0.7078  0.7101  0.2499  4 O 1.46-1.52
O  0.9725  0.8150  0.0929  1 Si 1.66
O  0.1842  0.0275  0.5901  1 Si 1.66
O  0.1332  0.4864  0.5746  1 S 1.49
O  0.8474  0.3073  0.5315  1 S 1.48
O  0.8117  0.8369  0.9090  1 Si 1.63
O  0.6822  0.5360  0.2440  1 S 1.47
O  0.1774  0.6989  0.7573  1 Si 1.65
O  0.9709  0.8078  0.8065  1 Si 1.62
Si  0.0406  0.6619  0.4181  4 O 1.60-1.68
O  0.6955  0.5272  0.5279  1 Si 1.66
Na  0.3263  0.0292  0.4175  3 O 2.31-2.40
In  0.9913  0.0053  0.3566  5 O 2.01-2.20
O  0.0254  0.1889  0.9090  1 Si 1.63
O  0.8131  0.7858  0.3019  1 S 1.46
O  0.7072  0.1709  0.0268  1 Si 1.64
In  0.6749  0.3329  0.1819  5 O 2.05-2.29
O  0.5052  0.8431  0.0727  1 Si 1.64
O  0.3061  0.8337  0.9720  1 Si 1.64
O  0.3049  0.8391  0.2537  1 S 1.50
O  0.9738  0.1779  0.3057  1 Si 1.58
Na  0.6830  0.3367  0.3309  3 O 2.40-2.68
Si  0.6242  0.9575  0.4155  4 O 1.58-1.67
O  0.1809  0.4876  0.2558  1 Si 1.69
O  0.4916  0.8633  0.3593  1 Si 1.67
O  0.8057  0.9691  0.4166  1 Si 1.58
Ta  0.0074  0.0126  0.1440  5 O 1.91-2.12
Ta  0.3227  0.6550  0.3165  4 O 1.87-1.98
Si  0.3825  0.3344  0.0832  4 O 1.60-1.68
O  0.0270  0.1961  0.1917  1 Si 1.72, 1 Ta 1.91
Na  0.6661  0.3328  0.8338  6 O 2.52-2.62
O  0.8326  0.3209  0.2469  1 Si 1.61
O  0.3090  0.4778  0.4740  1 Si 1.61
Na  0.3400  0.6715  0.6631  6 O 2.56-2.69
O  0.8304  0.5355  0.0264  1 Si 1.65
Ta  0.9990  0.0008  0.8561  6 O 1.95-2.01
O  0.4957  0.6465  0.5735  1 Si 1.64
Na  0.3303  0.6705  0.1671  6 O 2.54-2.71
O  0.8360  0.0187  0.0923  1 Si 1.71
O  0.6292  0.1418  0.4260  1 Si 1.65
O  0.9749  0.1762  0.5880  1 S 1.49
O  0.4731  0.3084  0.7499  1 Si 1.62
O  0.1849  0.1638  0.0912  1 Si 1.68
O  0.6321  0.5236  0.6446  1 Si 1.61
O  0.4596  0.1518  0.2441  1 S 1.47
O  0.5317  0.6934  0.9742  1 Si 1.63
Ta  0.3344  0.6668  0.8153  6 O 1.93-2.06
Si  0.9602  0.6265  0.0826  4 O 1.59-1.66
O  0.8554  0.4877  0.4264  1 Si 1.63
O  0.5029  0.6386  0.8589  1 Si 1.66
Ta  0.6670  0.3343  0.9777  6 O 1.98-2.02
O  0.8547  0.3600  0.9246  1 Si 1.63
O  0.3614  0.8650  0.8582  1 Si 1.66
Si  0.9973  0.2958  0.2513  4 O 1.58-1.72
O  0.8367  0.5223  0.7463  1 Si 1.61
Ta  0.3327  0.6699  0.0178  6 O 1.92-2.06
O  0.6406  0.4948  0.9243  1 Si 1.63
O  0.8358  0.0266  0.8067  1 Si 1.64
O  0.3658  0.5031  0.3604  1 Si 1.67
O  0.8936  0.3656  0.6374  1 S 1.48
Na  0.0055  0.9976  0.9958  6 O 2.51-2.75
Si  0.2836  0.2863  0.7508  4 O 1.62-1.66
O  0.1767  0.9728  0.1976  1 S 1.53
Na  0.6620  0.6894  0.0834  4 O 2.43-2.58
O  0.8945  0.5099  0.1395  1 Si 1.59
O  0.3002  0.4778  0.7576  1 Si 1.66
O  0.1361  0.6317  0.3599  1 Si 1.68, 1 Ta 1.87
O  0.6958  0.1692  0.7470  1 Si 1.62
O  0.1497  0.6464  0.0718  1 Si 1.64
Na  0.9934  0.3635  0.7501  4 O 2.36-2.62
Si  0.3341  0.9588  0.9162  4 O 1.62-1.66
Si  0.6653  0.6264  0.5841  4 O 1.61-1.66
Na  0.0271  0.3403  0.0837  5 O 2.42-2.68
O  0.4727  0.1646  0.5259  1 Si 1.66
O  0.5368  0.7017  0.2544  1 S 1.51
O  0.1629  0.9748  0.9089  1 Si 1.62
Na  0.3743  0.0079  0.7475  5 O 2.39-2.60
Si  0.0014  0.7116  0.7517  4 O 1.61-1.67
Na  0.9928  0.9968  0.4962  5 O 2.40-2.67
O  0.4960  0.3837  0.1413  1 Si 1.60
O  0.1800  0.1854  0.4146  1 Si 1.59
Ta  0.3447  0.6782  0.5184  5 O 1.86-1.97
O  0.3476  0.4966  0.0728  1 Si 1.65

Results
formation enthalpy at 0 K	-2885	meV per atom
volume	14.08	Å³/atom
crystal system	triclinic

What is the formula in the second record?
Na4Ta3InSi5SO24

The lowest volume belongs to which entry?
Na10Ta4In4Si9S3O48